DFT (GGA-PBE) results for an optimized crystal structure of TmCu2S2.

a b c (Å): 3.9378 3.9378 6.2386
angles (deg): 90.00 90.00 120.00
Space group P-3m1 (No. 164)
Unique sites:
Tm (0.0000, 0.0000, 0.0000) (multiplicity 1)
Cu (0.3333, 0.6667, 0.3367) (multiplicity 2)
S (0.3333, 0.6667, 0.7385) (multiplicity 2)

* formation energy from the elements: -0.970 eV per atom
* total DFT energy (no corrections): -24.79 eV for the cell shown